(1)
A geometry-optimized CeGe3Ir structure, computed with PBE.

Energy of formation from the pure elements: -0.656 eV per atom

a = 4.435 Å, b = 4.435 Å, c = 10.098 Å
α = 90.00°, β = 90.00°, γ = 90.00°
Space group I4mm (No. 107)
Inequivalent atoms, fractional coordinates:
Ce 0.000 0.000 0.000
Ge 0.000 0.000 0.425
Ge 0.000 0.500 0.267
Ir 0.000 0.000 0.663

(2)
A geometry-optimized CeGeIr structure, computed with PBE.

Energy of formation from the pure elements: -0.887 eV per atom

a = 7.036 Å, b = 4.399 Å, c = 7.671 Å
α = 90.00°, β = 90.00°, γ = 90.00°
Space group Pnma (No. 62)
Inequivalent atoms, fractional coordinates:
Ce 0.014 0.250 0.200
Ge 0.179 0.250 0.582
Ir 0.218 0.750 0.410

(3)
A geometry-optimized KLaCeGeO6 structure, computed with PBE.

Total magnetization: 0.0 μB/f.u.
Energy of formation from the pure elements: -2.938 eV per atom

a = 8.231 Å, b = 8.231 Å, c = 8.231 Å
α = 90.00°, β = 90.00°, γ = 90.00°
Space group F-43m (No. 216)
Inequivalent atoms, fractional coordinates:
K 0.000 0.000 0.000
La 0.000 0.000 0.500
Ce 0.250 0.250 0.250
Ge 0.250 0.250 0.750
O 0.018 0.250 0.750

(4)
A geometry-optimized Li2CeGe structure, computed with PBE.

Total magnetization: 1.6 μB/f.u.
Energy of formation from the pure elements: -0.237 eV per atom

a = 4.7871 Å, b = 4.7871 Å, c = 7.4319 Å
α = 90.00°, β = 90.00°, γ = 120.00°
Space group P6_3/mmc (No. 194)
Inequivalent atoms, fractional coordinates:
Li 0.3333 0.6667 0.1052
Ce 0.0000 0.0000 0.0000
Ge 0.3333 0.6667 0.7500

(5)
A geometry-optimized LiCeGe2 structure, computed with PBE.

Energy of formation from the pure elements: -0.616 eV per atom

a = 7.874 Å, b = 3.980 Å, c = 10.660 Å
α = 90.00°, β = 90.00°, γ = 90.00°
Space group Pnma (No. 62)
Inequivalent atoms, fractional coordinates:
Li 0.013 0.250 0.106
Ce 0.135 0.750 0.365
Ge 0.157 0.750 0.689
Ge 0.229 0.750 0.065

(6)
A geometry-optimized Li3Ce5Ge4 structure, computed with PBE.

Total magnetization: 4.4 μB/f.u.
Energy of formation from the pure elements: -0.324 eV per atom

a = 6.306 Å, b = 4.561 Å, c = 20.092 Å
α = 90.00°, β = 90.00°, γ = 90.00°
Space group Amm2 (No. 38)
Inequivalent atoms, fractional coordinates:
Li 0.000 0.000 0.000
Li 0.000 0.000 0.427
Li 0.500 0.000 0.110
Ce 0.000 0.000 0.622
Ce 0.000 0.000 0.799
Ce 0.500 0.000 0.497
Ce 0.500 0.000 0.739
Ce 0.500 0.000 0.915
Ge 0.202 0.000 0.200
Ge 0.294 0.000 0.337

(7)
A geometry-optimized LiCe4Ge4 structure, computed with PBE.

Total magnetization: 4.3 μB/f.u.
Energy of formation from the pure elements: -0.673 eV per atom

a = 7.386 Å, b = 15.030 Å, c = 7.996 Å
α = 90.00°, β = 90.00°, γ = 90.00°
Space group Pnma (No. 62)
Inequivalent atoms, fractional coordinates:
Li 0.158 0.250 0.029
Ce 0.020 0.597 0.686
Ce 0.175 0.628 0.180
Ge 0.012 0.250 0.578
Ge 0.162 0.036 0.969
Ge 0.224 0.750 0.864

(8)
A geometry-optimized Ce5Mg8Ge8 structure, computed with PBE.

Total magnetization: 5.4 μB/f.u.
Energy of formation from the pure elements: -0.505 eV per atom

a = 16.378 Å, b = 4.589 Å, c = 13.200 Å
α = 90.00°, β = 92.74°, γ = 90.00°
Space group C2/m (No. 12)
Inequivalent atoms, fractional coordinates:
Ce 0.000 0.000 0.000
Ce 0.095 0.500 0.437
Ce 0.104 0.500 0.746
Mg 0.072 0.000 0.251
Mg 0.179 0.500 0.003
Mg 0.200 0.000 0.568
Mg 0.215 0.500 0.230
Ge 0.036 0.000 0.589
Ge 0.058 0.500 0.147
Ge 0.158 0.000 0.888
Ge 0.223 0.000 0.363

(9)
A geometry-optimized Ce2MgGe2 structure, computed with PBE.

Energy of formation from the pure elements: -0.654 eV per atom

a = 7.438 Å, b = 7.438 Å, c = 4.359 Å
α = 90.00°, β = 90.00°, γ = 90.00°
Space group P4/mbm (No. 127)
Inequivalent atoms, fractional coordinates:
Ce 0.178 0.322 0.000
Mg 0.000 0.000 0.500
Ge 0.122 0.622 0.500

(10)
A geometry-optimized CeMnGe structure, computed with PBE.

Total magnetization: 0.9 μB/f.u.
Energy of formation from the pure elements: -0.431 eV per atom

a = 4.058 Å, b = 4.058 Å, c = 7.227 Å
α = 90.00°, β = 90.00°, γ = 90.00°
Space group P4/nmm (No. 129, origin choice 2)
Inequivalent atoms, fractional coordinates:
Ce 0.250 0.250 0.171
Mn 0.250 0.750 0.500
Ge 0.250 0.250 0.703

(11)
A geometry-optimized Ce3NiGe2 structure, computed with PBE.

Total magnetization: 0.0 μB/f.u.
Energy of formation from the pure elements: -0.653 eV per atom

a = 11.802 Å, b = 4.192 Å, c = 11.395 Å
α = 90.00°, β = 90.00°, γ = 90.00°
Space group Pnma (No. 62)
Inequivalent atoms, fractional coordinates:
Ce 0.055 0.250 0.122
Ce 0.119 0.750 0.559
Ce 0.217 0.250 0.797
Ni 0.129 0.250 0.369
Ge 0.024 0.750 0.312
Ge 0.197 0.750 0.995

(12)
A geometry-optimized Ce2NiGe3 structure, computed with PBE.

Total magnetization: 0.0 μB/f.u.
Offset from the most stable computed form: 46 meV/atom
Energy of formation from the pure elements: -0.664 eV per atom

a = 4.2404 Å, b = 4.2404 Å, c = 7.9257 Å
α = 90.00°, β = 90.00°, γ = 120.00°
Space group P-6m2 (No. 187)
Inequivalent atoms, fractional coordinates:
Ce 0.0000 0.0000 0.2355
Ni 0.3333 0.6667 0.0000
Ge 0.3333 0.6667 0.5000
Ge 0.6667 0.3333 0.0000
Ge 0.6667 0.3333 0.5000

Q: Among the records above, which one has the lowest energy of formation from the pure elements?
A: KLaCeGeO6

Q: Which value of energy of formation from the pure elements does entry 5 give?
A: -0.616 eV per atom